# GGA+U Sr3CaTi2Mn2O10, relaxed
data_Sr3CaTi2Mn2O10
_cell_length_a 11.1511
_cell_length_b 11.3522
_cell_length_c 17.6583
_cell_angle_alpha 108.68
_cell_angle_beta 108.22
_cell_angle_gamma 90.01
_space_group_name_H-M_alt 'P 1'
_space_group_IT_number 1
loop_
_space_group_symop_operation_xyz
'x,y,z'
loop_
_atom_site_label
_atom_site_type_symbol
_atom_site_fract_x
_atom_site_fract_y
_atom_site_fract_z
Sr1 Sr 0.0000 0.0000 0.0000
Sr2 Sr 0.0003 0.4984 0.5002
Sr3 Sr 0.0009 0.9989 0.5009
Sr4 Sr 0.1125 0.0991 0.2244
Sr5 Sr 0.1151 0.1012 0.7294
Sr6 Sr 0.1146 0.6014 0.7293
Sr7 Sr 0.2496 0.7367 0.4981
Sr8 Sr 0.2506 0.2362 0.5001
Sr9 Sr 0.3622 0.8609 0.2244
Sr10 Sr 0.3636 0.3627 0.7267
Sr11 Sr 0.3646 0.8621 0.7280
Sr12 Sr 0.4997 0.4969 0.4982
Sr13 Sr 0.4999 0.4994 0.0002
Sr14 Sr 0.5010 0.9993 0.5004
Sr15 Sr 0.6125 0.0989 0.2248
Sr16 Sr 0.6116 0.5988 0.2244
Sr17 Sr 0.6146 0.1013 0.7294
Sr18 Sr 0.6149 0.6012 0.7290
Sr19 Sr 0.7502 0.7368 0.5001
Sr20 Sr 0.7512 0.2370 0.5009
Sr21 Sr 0.8630 0.3613 0.2243
Sr22 Sr 0.8628 0.8603 0.2243
Sr23 Sr 0.8636 0.8624 0.7266
Sr24 Sr 0.8648 0.3623 0.7283
Ca1 Ca 0.0005 0.5051 0.0028
Ca2 Ca 0.1108 0.5932 0.2226
Ca3 Ca 0.2484 0.7330 0.0028
Ca4 Ca 0.2503 0.2335 0.0034
Ca5 Ca 0.3592 0.3644 0.2222
Ca6 Ca 0.4998 0.0050 0.0022
Ca7 Ca 0.7485 0.2333 0.0031
Ca8 Ca 0.7492 0.7328 0.0027
Ti1 Ti 0.0554 0.7962 0.1115
Ti2 Ti 0.0563 0.2994 0.6137
Ti3 Ti 0.0566 0.2998 0.1103
Ti4 Ti 0.0568 0.7991 0.6136
Ti5 Ti 0.3031 0.5472 0.1112
Ti6 Ti 0.3062 0.0489 0.6135
Ti7 Ti 0.3062 0.5501 0.6132
Ti8 Ti 0.3066 0.0493 0.1113
Ti9 Ti 0.5544 0.2972 0.1113
Ti10 Ti 0.5542 0.7984 0.1095
Ti11 Ti 0.5556 0.7988 0.6133
Ti12 Ti 0.5566 0.2998 0.6137
Ti13 Ti 0.8032 0.0477 0.1101
Ti14 Ti 0.8062 0.0498 0.6138
Ti15 Ti 0.8058 0.5495 0.6137
Ti16 Ti 0.8079 0.5479 0.1108
Mn1 Mn 0.1665 0.3971 0.8677
Mn2 Mn 0.1671 0.8916 0.3602
Mn3 Mn 0.1698 0.3976 0.3610
Mn4 Mn 0.1713 0.8957 0.8666
Mn5 Mn 0.4139 0.6977 0.3600
Mn6 Mn 0.4171 0.2039 0.3601
Mn7 Mn 0.4176 0.2017 0.8660
Mn8 Mn 0.4184 0.7073 0.8671
Mn9 Mn 0.6643 0.3956 0.3606
Mn10 Mn 0.6667 0.8970 0.8672
Mn11 Mn 0.6678 0.8952 0.3619
Mn12 Mn 0.6715 0.3955 0.8665
Mn13 Mn 0.9180 0.2019 0.3620
Mn14 Mn 0.9179 0.7016 0.8663
Mn15 Mn 0.9187 0.2075 0.8675
Mn16 Mn 0.9200 0.7012 0.3616
O1 O 0.0072 0.2161 0.4892
O2 O 0.0079 0.7157 0.4890
O3 O 0.0154 0.7054 0.9889
O4 O 0.0171 0.2119 0.9890
O5 O 0.1308 0.3814 0.7396
O6 O 0.1310 0.8854 0.2354
O7 O 0.1331 0.8814 0.7389
O8 O 0.1362 0.3921 0.2357
O9 O 0.1818 0.4192 0.0975
O10 O 0.1838 0.4227 0.6050
O11 O 0.1841 0.9182 0.0982
O12 O 0.1836 0.9216 0.6041
O13 O 0.1927 0.1758 0.6227
O14 O 0.1930 0.6738 0.1258
O15 O 0.1929 0.6765 0.6229
O16 O 0.1982 0.1807 0.1249
O17 O 0.2263 0.7164 0.3542
O18 O 0.2354 0.2276 0.3620
O19 O 0.2352 0.2284 0.8724
O20 O 0.2357 0.7260 0.8724
O21 O 0.2578 0.0053 0.4878
O22 O 0.2581 0.5091 0.4892
O23 O 0.2580 0.5198 0.9889
O24 O 0.2618 0.0201 0.9882
O25 O 0.3798 0.0901 0.7384
O26 O 0.3816 0.0853 0.2354
O27 O 0.3820 0.5792 0.2353
O28 O 0.3815 0.5938 0.7397
O29 O 0.4289 0.4103 0.0982
O30 O 0.4318 0.9147 0.0964
O31 O 0.4340 0.4177 0.6049
O32 O 0.4337 0.9170 0.6047
O33 O 0.4421 0.6830 0.1219
O34 O 0.4429 0.1812 0.6226
O35 O 0.4434 0.1825 0.1233
O36 O 0.4430 0.6811 0.6231
O37 O 0.4760 0.3731 0.3539
O38 O 0.4831 0.8814 0.8713
O39 O 0.4849 0.8674 0.3621
O40 O 0.4866 0.3689 0.8636
O41 O 0.5048 0.7153 0.4883
O42 O 0.5076 0.2176 0.4878
O43 O 0.5134 0.2059 0.9885
O44 O 0.5153 0.7108 0.9884
O45 O 0.6305 0.8813 0.7394
O46 O 0.6309 0.8836 0.2353
O47 O 0.6323 0.3832 0.2350
O48 O 0.6328 0.3815 0.7386
O49 O 0.6810 0.9200 0.0971
O50 O 0.6833 0.4222 0.6043
O51 O 0.6836 0.9224 0.6049
O52 O 0.6850 0.4180 0.0986
O53 O 0.6924 0.1747 0.1218
O54 O 0.6923 0.6763 0.6227
O55 O 0.6926 0.1763 0.6228
O56 O 0.6952 0.6756 0.1216
O57 O 0.7350 0.2282 0.3626
O58 O 0.7353 0.7283 0.8723
O59 O 0.7359 0.2259 0.8724
O60 O 0.7370 0.7266 0.3618
O61 O 0.7547 0.5074 0.4880
O62 O 0.7571 0.0081 0.4890
O63 O 0.7598 0.0201 0.9882
O64 O 0.7640 0.5194 0.9879
O65 O 0.8794 0.5903 0.7385
O66 O 0.8806 0.0879 0.2352
O67 O 0.8813 0.0938 0.7398
O68 O 0.8870 0.5877 0.2355
O69 O 0.9288 0.9092 0.0979
O70 O 0.9336 0.4156 0.0974
O71 O 0.9337 0.4174 0.6048
O72 O 0.9340 0.9175 0.6053
O73 O 0.9429 0.1815 0.6233
O74 O 0.9427 0.6810 0.6229
O75 O 0.9444 0.1843 0.1223
O76 O 0.9478 0.6783 0.1235
O77 O 0.9828 0.3814 0.8713
O78 O 0.9863 0.8688 0.8636
O79 O 0.9857 0.8717 0.3627
O80 O 0.9875 0.3702 0.3621
# DFT formation energy, meV/atom: -3084
# Total magnetic moment, μB/f.u.: 10.0

# GGA+U Pr5Mo3O16, relaxed
data_Pr5Mo3O16
_cell_length_a 11.2089
_cell_length_b 11.2089
_cell_length_c 11.2089
_cell_angle_alpha 90.00
_cell_angle_beta 90.00
_cell_angle_gamma 90.00
_space_group_name_H-M_alt 'P n -3 n'
_space_group_IT_number 222
loop_
_space_group_symop_operation_xyz
'x,y,z'
'-x,-y,-z'
'-y+1/2,x,z'
'y+1/2,-x,-z'
'-x+1/2,-y+1/2,z'
'x+1/2,y+1/2,-z'
'y,-x+1/2,z'
'-y,x+1/2,-z'
'x,-y+1/2,-z+1/2'
'-x,y+1/2,z+1/2'
'-y+1/2,-x+1/2,-z+1/2'
'y+1/2,x+1/2,z+1/2'
'-x+1/2,y,-z+1/2'
'x+1/2,-y,z+1/2'
'y,x,-z+1/2'
'-y,-x,z+1/2'
'z,x,y'
'-z,-x,-y'
'z,-y+1/2,x'
'-z,y+1/2,-x'
'z,-x+1/2,-y+1/2'
'-z,x+1/2,y+1/2'
'z,y,-x+1/2'
'-z,-y,x+1/2'
'-z+1/2,x,-y+1/2'
'z+1/2,-x,y+1/2'
'-z+1/2,-y+1/2,-x+1/2'
'z+1/2,y+1/2,x+1/2'
'-z+1/2,-x+1/2,y'
'z+1/2,x+1/2,-y'
'-z+1/2,y,x'
'z+1/2,-y,-x'
'y,z,x'
'-y,-z,-x'
'x,z,-y+1/2'
'-x,-z,y+1/2'
'-y+1/2,z,-x+1/2'
'y+1/2,-z,x+1/2'
'-x+1/2,z,y'
'x+1/2,-z,-y'
'-y+1/2,-z+1/2,x'
'y+1/2,z+1/2,-x'
'-x+1/2,-z+1/2,-y+1/2'
'x+1/2,z+1/2,y+1/2'
'y,-z+1/2,-x+1/2'
'-y,z+1/2,x+1/2'
'x,-z+1/2,y'
'-x,z+1/2,-y'
loop_
_atom_site_label
_atom_site_type_symbol
_atom_site_fract_x
_atom_site_fract_y
_atom_site_fract_z
Pr1 Pr 0.0000 0.0000 0.0000
Pr2 Pr 0.0095 0.2500 0.2500
Mo1 Mo 0.0000 0.2500 0.7500
O1 O 0.0836 0.1698 0.6346
O2 O 0.1210 0.1210 0.1210
# DFT formation energy, meV/atom: -2998
# Total magnetic moment, μB/f.u.: 1.0

# GGA+U MgFe3Co5O16, relaxed
data_MgFe3Co5O16
_cell_length_a 5.8010
_cell_length_b 5.8057
_cell_length_c 8.9056
_cell_angle_alpha 87.91
_cell_angle_beta 87.87
_cell_angle_gamma 60.09
_space_group_name_H-M_alt 'P 1'
_space_group_IT_number 1
loop_
_space_group_symop_operation_xyz
'x,y,z'
loop_
_atom_site_label
_atom_site_type_symbol
_atom_site_fract_x
_atom_site_fract_y
_atom_site_fract_z
Mg1 Mg 0.0000 0.0000 0.0000
Fe1 Fe 0.0203 0.0191 0.7018
Fe2 Fe 0.3510 0.8338 0.2569
Fe3 Fe 0.8364 0.3490 0.2580
Co1 Co 0.0210 0.5171 0.7462
Co2 Co 0.3411 0.3377 0.2490
Co3 Co 0.5190 0.0190 0.7459
Co4 Co 0.5189 0.5183 0.9656
Co5 Co 0.8383 0.8344 0.4700
O1 O 0.0000 0.9966 0.3602
O2 O 0.0007 0.5244 0.3547
O3 O 0.1357 0.6824 0.5993
O4 O 0.1697 0.1627 0.1430
O5 O 0.2012 0.1996 0.6344
O6 O 0.2267 0.6552 0.1041
O7 O 0.3425 0.8513 0.8505
O8 O 0.3494 0.3483 0.8456
O9 O 0.5016 0.5055 0.3644
O10 O 0.5282 0.9948 0.3546
O11 O 0.6537 0.2263 0.1043
O12 O 0.6545 0.6534 0.1041
O13 O 0.6843 0.1333 0.5985
O14 O 0.7041 0.7018 0.6275
O15 O 0.8531 0.3407 0.8508
O16 O 0.8529 0.8517 0.8452
# DFT formation energy, meV/atom: -1243
# Total magnetic moment, μB/f.u.: 19.0

# GGA+U BaV6O11, relaxed
data_BaV6O11
_cell_length_a 5.9316
_cell_length_b 5.9316
_cell_length_c 13.5920
_cell_angle_alpha 90.00
_cell_angle_beta 90.00
_cell_angle_gamma 120.00
_space_group_name_H-M_alt 'P 63 m c'
_space_group_IT_number 186
_space_group_name_Hall 'P 6c -2c'
loop_
_atom_site_label
_atom_site_type_symbol
_atom_site_fract_x
_atom_site_fract_y
_atom_site_fract_z
Ba1 Ba 0.3333 0.6667 0.0000
V1 V 0.0000 0.0000 0.1056
V2 V 0.0000 0.0000 0.3980
V3 V 0.0001 0.5000 0.2519
V4 V 0.3333 0.6667 0.5053
O1 O 0.1484 0.2967 0.5026
O2 O 0.1742 0.3485 0.1745
O3 O 0.1746 0.3493 0.8293
O4 O 0.3333 0.6667 0.3353
O5 O 0.3333 0.6667 0.6679
# DFT formation energy, meV/atom: -2615
# Total magnetic moment, μB/f.u.: 2.0

# GGA+U W3O8, relaxed
data_W3O8
_cell_length_a 6.5009
_cell_length_b 10.6844
_cell_length_c 3.8585
_cell_angle_alpha 90.00
_cell_angle_beta 90.00
_cell_angle_gamma 90.00
_space_group_name_H-M_alt 'C m m m'
_space_group_IT_number 65
_space_group_name_Hall '-C 2 2'
loop_
_atom_site_label
_atom_site_type_symbol
_atom_site_fract_x
_atom_site_fract_y
_atom_site_fract_z
W1 W 0.0000 0.0000 0.0000
W2 W 0.0000 0.3158 0.0000
O1 O 0.0000 0.0000 0.5000
O2 O 0.0000 0.3109 0.5000
O3 O 0.0000 0.5000 0.0000
O4 O 0.1854 0.1514 0.0000
# DFT formation energy, meV/atom: -2125

# GGA+U KMn8O16, relaxed
data_KMn8O16
_cell_length_a 9.9935
_cell_length_b 9.9935
_cell_length_c 5.8978
_cell_angle_alpha 90.00
_cell_angle_beta 90.00
_cell_angle_gamma 90.00
_space_group_name_H-M_alt 'P 4/n'
_space_group_IT_number 85
loop_
_space_group_symop_operation_xyz
'x,y,z'
'-x,-y,-z'
'-y+1/2,x,z'
'y+1/2,-x,-z'
'-x+1/2,-y+1/2,z'
'x+1/2,y+1/2,-z'
'y,-x+1/2,z'
'-y,x+1/2,-z'
loop_
_atom_site_label
_atom_site_type_symbol
_atom_site_fract_x
_atom_site_fract_y
_atom_site_fract_z
K1 K 0.2500 0.2500 0.1265
Mn1 Mn 0.0828 0.8984 0.3751
Mn2 Mn 0.0848 0.9002 0.8750
O1 O 0.0465 0.0936 0.3726
O2 O 0.0467 0.0952 0.8779
O3 O 0.0848 0.7071 0.8740
O4 O 0.0862 0.7064 0.3750
# DFT formation energy, meV/atom: -1880
# Total magnetic moment, μB/f.u.: 0.2

# GGA+U CoC8S4F12, relaxed
data_CoC8S4F12
_cell_length_a 8.1339
_cell_length_b 10.0565
_cell_length_c 10.3183
_cell_angle_alpha 103.95
_cell_angle_beta 98.79
_cell_angle_gamma 100.51
_space_group_name_H-M_alt 'P -1'
_space_group_IT_number 2
loop_
_space_group_symop_operation_xyz
'x,y,z'
'-x,-y,-z'
loop_
_atom_site_label
_atom_site_type_symbol
_atom_site_fract_x
_atom_site_fract_y
_atom_site_fract_z
Co1 Co 0.1311 0.0976 0.4728
C1 C 0.0165 0.8870 0.1841
C2 C 0.0316 0.7801 0.0550
C3 C 0.1335 0.0706 0.7944
C4 C 0.2593 0.5540 0.7313
C5 C 0.2660 0.4065 0.6503
C6 C 0.3052 0.1188 0.8948
C7 C 0.4025 0.5507 0.3026
C8 C 0.4163 0.3609 0.6332
S1 S 0.0752 0.2945 0.5747
S2 S 0.1320 0.9625 0.6370
S3 S 0.1960 0.9467 0.3083
S4 S 0.4008 0.1962 0.5351
F1 F 0.0163 0.1811 0.0601
F2 F 0.0686 0.3490 0.9591
F3 F 0.0960 0.5646 0.7376
F4 F 0.1944 0.7647 0.0594
F5 F 0.2829 0.6172 0.3500
F6 F 0.2956 0.0983 0.0192
F7 F 0.3247 0.6546 0.6728
F8 F 0.3486 0.5871 0.8611
F9 F 0.3700 0.5255 0.1651
F10 F 0.3725 0.2587 0.9150
F11 F 0.3756 0.4238 0.3314
F12 F 0.4214 0.0484 0.8467
# DFT formation energy, meV/atom: -1232
# Total magnetic moment, μB/f.u.: 0.0

Question: What is the formula in the seventh record?
Answer: CoC8S4F12